1.
First-principles (PBE) data for a relaxed LuCuAs2 crystal, as listed in the Materials Project.

Output
- ΔE_f (eV per atom) = -0.7623
- calculated total energy (eV per atom) = -5.2469
- symmetry = P4/nmm (129)

```
8
Lattice="-0.845 2.220 -3.037 -3.184 1.236 1.790 5.062 7.328 3.948" Properties=species:S:1:pos:R:3 pbc="T T T"
Lu 2.272 6.211 3.908
Lu 0.776 2.845 -0.584
Cu 0.516 5.392 1.350
Cu 2.531 3.664 1.974
As -2.015 1.728 -0.624
As 0.090 3.053 2.207
As 2.957 6.002 1.117
As 0.000 0.000 0.000
```


2.
First-principles (PBE) data for a relaxed Tb5Br8 crystal, as listed in the Materials Project.

Output
- ΔE_f (eV per atom) = -1.8293
- calculated total energy (eV per atom) = -4.2905
- symmetry = C2/m (12)

```
13
Lattice="3.854 -7.682 5.794 5.048 -4.530 7.838 -4.833 -5.881 11.895" Properties=species:S:1:pos:R:3 pbc="T T T"
Tb 1.567 -9.949 14.430
Tb 2.502 -8.143 11.098
Tb 4.492 -14.324 19.469
Tb -0.423 -3.768 6.060
Tb 0.000 0.000 0.000
Br 5.174 -9.204 11.172
Br 1.300 -13.012 19.310
Br -3.430 -4.922 9.596
Br 4.201 -11.089 14.648
Br -1.105 -8.889 14.356
Br -0.132 -7.004 10.880
Br 2.770 -5.081 6.218
Br 7.499 -13.171 15.932
```


3.
First-principles (PBE) data for a relaxed SmDy2S4 crystal, as listed in the Materials Project.

Output
- ΔE_f (eV per atom) = -2.2777
- calculated total energy (eV per atom) = -6.3442
- symmetry = I-42d (122)

```
14
Lattice="3.403 -0.038 6.396 -4.643 5.555 -0.277 -3.643 -6.210 -0.812" Properties=species:S:1:pos:R:3 pbc="T T T"
Dy -2.377 -3.384 3.988
Dy -3.006 -2.497 0.224
Dy -2.817 4.071 2.849
Dy -1.568 0.425 3.554
S -1.816 2.024 1.276
S -4.275 1.690 3.915
S 0.800 -0.106 5.298
S -3.863 -1.236 2.535
S -2.586 -4.860 1.654
S -5.545 -1.202 -0.673
S -1.503 2.687 5.149
S -0.747 -1.768 2.075
Sm -4.453 1.052 0.985
Sm 0.000 0.000 0.000
```


4.
First-principles (PBE) data for a relaxed Na2Hf4Ta4Si7S5O48 crystal, as listed in the Materials Project.

Output
- ΔE_f (eV per atom) = -2.9473
- calculated total energy (eV per atom) = -7.9914
- symmetry = P1 (1)

```
210
Lattice="17.846 -0.007 0.125 -4.465 7.730 -0.003 0.160 0.082 23.144" Properties=species:S:1:pos:R:3 pbc="T T T"
O 1.832 0.227 13.730
O 12.510 6.577 20.975
O 15.066 2.369 5.700
O 1.170 6.636 17.475
O 1.712 5.343 22.581
O 9.631 3.667 11.047
O 3.577 6.596 21.108
O 8.261 1.514 4.529
O 2.672 2.297 0.780
O 10.066 6.647 17.614
O -0.514 3.557 22.406
O 14.503 3.990 9.884
O 0.664 6.735 8.367
O 0.973 6.478 10.998
O 10.525 0.236 7.187
O 11.671 2.366 0.816
O 15.062 2.795 14.943
O 3.971 4.185 12.265
O 1.084 1.295 18.685
O 9.735 1.447 16.129
O 3.984 1.211 21.376
O 16.743 1.386 7.096
O 7.940 1.272 7.176
O -3.353 6.345 16.165
O 0.623 6.646 1.762
O 1.797 5.005 19.943
O 11.754 7.610 16.265
O 2.978 2.819 9.832
O 9.587 1.517 9.525
O 3.882 1.062 14.754
O 3.082 2.379 17.215
O 12.464 6.369 4.651
O 6.043 2.377 5.692
O 1.693 5.046 13.343
O 10.015 3.892 8.394
O 10.080 1.321 18.718
O 10.723 0.225 13.873
O 7.262 4.981 8.509
O 8.300 3.709 6.117
O -3.360 6.392 9.501
O 14.465 1.287 0.743
O 10.665 5.382 22.624
O 11.897 7.465 9.625
O 14.528 1.308 17.303
O 11.988 2.394 17.193
O 8.125 6.531 22.619
O 12.947 1.203 21.453
O 0.991 3.845 8.320
O 0.985 3.751 1.752
O 14.116 1.162 9.905
O 12.432 1.455 5.690
O -0.958 6.449 5.948
O 3.951 6.327 13.979
O -2.891 7.637 4.487
O 8.057 6.553 6.095
O 9.665 3.726 17.576
O 3.686 3.922 21.384
O 17.036 1.396 13.789
O 0.666 1.492 9.572
O 16.303 0.209 2.460
O -0.890 3.816 19.987
O 14.121 6.168 18.704
O 7.399 4.842 1.708
O -0.533 6.714 19.875
O 2.979 7.424 9.434
O 15.267 2.814 21.436
O -0.697 3.564 5.936
O 14.001 1.084 3.349
O 6.185 7.592 21.202
O 6.118 2.802 14.890
O 10.002 3.801 1.839
O 5.402 3.869 3.287
O 0.721 3.697 10.992
O 9.619 6.718 8.425
O 2.888 7.631 16.166
O 7.280 5.378 17.569
O 14.097 6.243 2.346
O 8.391 1.653 21.115
O 15.089 2.356 12.329
O 2.716 2.829 3.172
O 5.459 1.252 0.638
O 3.464 6.295 4.627
O 12.848 4.146 12.290
O -1.533 4.855 1.673
O 5.572 4.016 9.841
O -1.648 5.374 17.575
O 13.969 4.134 0.743
O 12.659 3.956 21.453
O 6.163 7.594 4.543
O 3.553 3.903 14.864
O 7.977 4.019 13.328
O 3.830 4.123 5.664
O 9.874 6.479 11.078
O 5.120 1.079 3.278
O 16.247 0.302 18.672
O -2.733 7.568 20.987
O 8.392 3.616 22.486
O -1.660 5.397 10.863
O 0.989 1.400 2.207
O -0.835 6.512 22.540
O 3.854 6.095 7.041
O 5.217 1.173 9.847
O -1.670 5.001 8.433
O 5.209 4.170 17.208
O 5.067 4.117 0.670
O 8.034 3.813 20.061
O 7.250 5.415 10.927
O 6.172 2.322 12.276
O 12.808 1.054 14.831
O 1.639 0.271 7.085
O 7.414 0.174 2.115
O 12.491 3.916 14.908
O -0.953 4.050 13.250
O 14.338 3.846 3.371
O 11.702 2.790 3.227
O 5.612 1.292 17.171
O 9.595 6.630 1.831
O 7.306 0.310 18.574
O 3.481 1.407 5.538
O 14.115 4.179 17.340
O 8.076 1.400 13.882
O -0.524 1.626 20.975
O 12.798 4.168 5.653
O 12.793 6.119 7.057
O 1.781 5.344 5.985
O 10.590 5.004 13.385
O 9.985 1.409 2.158
O 12.333 1.230 12.436
O 5.196 6.115 18.603
O 0.771 3.720 17.599
O 12.881 6.329 13.852
O 5.555 6.366 16.197
O -0.557 6.806 13.373
O 11.904 2.776 9.901
O -0.706 1.578 4.563
O 3.468 1.243 12.345
O 8.309 6.788 13.460
O 6.326 2.862 21.389
O 10.740 5.387 5.949
O 8.379 6.707 19.948
O 5.557 6.400 9.509
O 0.829 1.517 16.086
O 10.715 4.967 19.987
O 5.185 6.309 2.126
S 3.292 0.397 13.530
S 16.581 2.231 5.882
S 14.766 5.561 17.497
S 6.441 5.230 9.706
S -2.475 5.201 9.653
S 12.202 0.387 13.626
S 7.797 3.014 21.287
S 10.832 2.601 2.014
S 5.845 5.552 17.391
S 6.491 0.106 17.378
S 15.396 0.103 17.484
S -1.115 3.006 21.200
S 3.251 5.487 5.846
S 12.194 5.520 5.861
S 1.879 2.607 1.985
Si 16.032 2.672 13.583
Si 10.262 7.392 9.729
Si -1.062 7.460 21.199
Si 7.723 2.255 5.842
Si 5.840 0.400 1.940
Si 11.636 5.202 21.314
Si 3.316 4.894 13.522
Si 10.338 2.272 17.434
Si 10.325 2.997 9.671
Si 2.596 0.040 5.795
Si 2.723 5.216 21.276
Si 7.827 7.466 21.265
Si 1.382 2.973 9.618
Si 7.071 2.695 13.535
Si 1.359 7.409 9.679
Si 14.710 4.725 2.030
Si 14.746 0.381 2.025
Si 12.224 4.891 13.549
Si 5.759 4.810 1.962
Si 1.417 2.268 17.381
Si 11.512 0.036 5.878
Hf 13.490 2.597 11.163
Hf 0.097 5.293 7.222
Hf 4.586 2.643 11.083
Hf 0.078 0.125 8.284
Hf 13.557 2.668 22.766
Hf 0.267 5.221 18.810
Hf 4.710 7.780 19.941
Hf 9.158 5.194 18.875
Hf 4.517 7.715 3.464
Hf 0.053 0.165 14.899
Hf 4.606 2.683 22.729
Hf 8.995 5.224 7.237
Ta 8.919 5.332 0.645
Ta 8.967 0.202 8.346
Ta -4.342 7.653 3.277
Ta 4.502 2.707 15.899
Ta 0.244 5.101 12.123
Ta 0.245 0.085 19.924
Ta 13.435 2.495 4.407
Ta 8.995 0.180 14.918
Ta 4.662 2.503 4.414
Ta 9.145 5.082 12.159
Ta 13.452 2.741 15.958
Ta 0.007 5.345 0.591
Na 4.448 2.626 19.472
Na 4.467 2.502 7.795
Na 13.357 2.602 19.509
Na 17.773 0.069 11.652
Na 13.321 2.457 7.922
Na 4.414 7.563 0.146
```


5.
First-principles (PBE) data for a relaxed Cs2MnCl6 crystal, as listed in the Materials Project.

Output
- ΔE_f (eV per atom) = -1.8650
- calculated total energy (eV per atom) = -3.9050
- symmetry = Fm-3m (225)

```
9
Lattice="0.000 5.226 5.226 5.226 0.000 5.226 5.226 5.226 0.000" Properties=species:S:1:pos:R:3 pbc="T T T"
Cs 2.613 2.613 2.613
Cs 7.839 7.839 7.839
Mn 0.000 0.000 0.000
Cl 5.226 5.226 2.301
Cl 5.226 2.301 5.226
Cl 8.150 5.226 5.226
Cl 5.226 5.226 8.150
Cl 2.301 5.226 5.226
Cl 5.226 8.150 5.226
```


6.
First-principles (PBE) data for a relaxed NaNdS2O8 crystal, as listed in the Materials Project.

Output
- ΔE_f (eV per atom) = -2.5215
- calculated total energy (eV per atom) = -6.5592
- relative energy among the computed polymorphs (eV/atom) = 0.000
- symmetry = P-1 (2)

```
24
Lattice="6.380 0.000 0.000 -0.118 7.026 0.000 -0.785 -1.179 7.079" Properties=species:S:1:pos:R:3 pbc="T T T"
O 1.286 1.026 6.211
O -0.737 3.661 5.967
O 1.415 1.392 3.826
O 1.079 5.178 6.674
O 0.986 4.488 4.410
O 4.491 1.359 2.669
O 4.192 4.820 0.868
O -0.080 -0.091 1.773
O 4.398 0.668 0.406
O 4.062 4.454 3.254
O 5.558 5.937 5.307
O 2.420 5.891 2.190
O 3.057 -0.044 4.890
O 3.140 2.319 5.292
O 2.337 3.527 1.788
O 6.215 2.185 1.112
S 2.219 1.167 5.063
S 5.356 1.029 1.514
S 0.122 4.818 5.566
S 3.258 4.679 2.016
Na 0.048 4.536 2.037
Na 5.429 1.310 5.043
Nd 3.345 4.717 5.629
Nd 2.133 1.130 1.451
```